This record from the Materials Project describes a relaxed Li2TiV3O8 crystal. The functional is GGA+U.

```
data_Li2TiV3O8
_chemical_formula_sum 'Li4 Ti2 V6 O16'
_space_group_name_H-M_alt 'P -1'
_space_group_IT_number 2
_cell_length_a 5.9345
_cell_length_b 5.9895
_cell_length_c 10.3664
_cell_angle_alpha 74.35
_cell_angle_beta 74.18
_cell_angle_gamma 60.77
loop_
_space_group_symop_operation_xyz
'x,y,z'
'-x,-y,-z'
loop_
_atom_site_label
_atom_site_fract_x
_atom_site_fract_y
_atom_site_fract_z
_atom_site_occupancy
Li1 0.1795 0.2002 0.4367 1
Li2 0.3170 0.3005 0.0622 1
Ti1 0.2749 0.2360 0.7420 1
V1 0.0000 0.0000 0.0000 1
V2 0.2460 0.7402 0.2430 1
V3 0.2463 0.7497 0.7491 1
V4 0.5000 0.5000 0.5000 1
O1 0.1121 0.6470 0.1373 1
O2 0.1129 0.0972 0.1340 1
O3 0.1135 0.1296 0.6432 1
O4 0.1582 0.5909 0.6330 1
O5 0.3419 0.9053 0.8670 1
O6 0.3852 0.8535 0.3625 1
O7 0.3864 0.3706 0.8560 1
O8 0.3902 0.3999 0.3648 1
```

Computed properties:
E above lowest polymorph ... 0.27 kJ per mole of atoms
ΔH_f (0 K) ... -62.767 kcal/mol of atoms
Volume ... 10.90 A^3/atom
Size of the total moment ... 0.07 μB per atom